# 1
Here is a relaxed Li4Ti5Ni3O16 crystal from the Materials Project. Energies are from PBE+U.

Calculated values
The calculation puts the formation enthalpy at 0 K at -2634 meV per atom. As for the density: 4062 kg/m3. Its magnetization is 4.0 μB/cell.

```
Li4Ti5Ni3O16
1.0
2.912 5.136 0.000
-2.912 5.136 0.000
0.000 0.225 9.555
O Ni Ti Li
16 3 5 4
direct
0.474 0.028 0.158
0.474 0.474 0.164
0.167 0.167 0.902
0.838 0.838 0.406
0.006 0.006 0.695
0.178 0.660 0.910
0.995 0.995 0.198
0.655 0.655 0.898
0.521 0.521 0.663
0.336 0.336 0.387
0.028 0.474 0.158
0.342 0.839 0.408
0.839 0.342 0.408
0.660 0.178 0.910
0.968 0.506 0.657
0.506 0.968 0.657
0.661 0.168 0.290
0.168 0.661 0.290
0.831 0.831 0.791
0.340 0.340 0.003
0.173 0.173 0.270
0.667 0.667 0.499
0.349 0.844 0.779
0.844 0.349 0.779
0.661 0.661 0.104
0.991 0.991 0.008
0.339 0.339 0.598
0.001 0.001 0.506
```

=====

# 2
Here is a relaxed Li3TiNi2O6 crystal from the Materials Project. Energies are from PBE+U.

Calculated values
The calculation puts the formation enthalpy at 0 K at -2154 meV per atom. As for the density: 4299 kg/m3. Its magnetization is 6.0 μB/cell.

```
Li3TiNi2O6
1.0
0.962 5.533 -1.668
-3.354 -0.860 -4.766
-4.485 0.696 4.858
Li O Ti Ni
6 12 2 4
direct
0.997 0.507 0.991
0.333 0.834 0.333
0.500 0.504 0.986
0.670 0.159 0.675
0.167 0.162 0.681
0.833 0.833 0.334
0.088 0.111 0.350
0.764 0.766 0.000
0.898 0.428 0.646
0.426 0.429 0.650
0.084 0.560 0.333
0.768 0.239 0.021
0.582 0.107 0.334
0.578 0.556 0.317
0.433 0.900 0.668
0.234 0.768 0.998
0.241 0.238 0.016
0.901 0.900 0.666
0.837 0.333 0.334
0.336 0.334 0.333
0.500 0.992 0.995
0.997 0.994 0.996
0.668 0.673 0.670
0.167 0.674 0.671
```

=====

# 3
Here is a relaxed Li4Ti2Ni5O12 crystal from the Materials Project. Energies are from PBE+U.

Calculated values
The calculation puts the formation enthalpy at 0 K at -2031 meV per atom. As for the density: 4682 kg/m3. Its magnetization is 16.0 μB/cell.

```
Li4Ti2Ni5O12
1.0
8.935 0.000 0.000
0.000 5.008 0.000
0.000 1.939 9.654
O Ni Li Ti
24 10 8 4
direct
0.756 0.607 0.373
0.770 0.876 0.610
0.094 0.873 0.621
0.594 0.127 0.379
0.404 0.608 0.384
0.905 0.627 0.878
0.270 0.124 0.390
0.236 0.635 0.890
0.904 0.392 0.616
0.909 0.850 0.109
0.754 0.119 0.878
0.403 0.890 0.614
0.409 0.150 0.891
0.093 0.117 0.888
0.903 0.110 0.386
0.736 0.365 0.110
0.087 0.628 0.390
0.256 0.393 0.627
0.588 0.600 0.887
0.405 0.373 0.122
0.254 0.881 0.122
0.587 0.372 0.610
0.593 0.883 0.112
0.088 0.400 0.113
0.919 0.752 0.498
0.417 0.751 0.996
0.081 0.753 0.000
0.419 0.248 0.502
0.244 0.496 0.258
0.254 0.010 0.745
0.744 0.504 0.742
0.754 0.990 0.255
0.917 0.249 0.004
0.581 0.247 0.000
0.578 0.497 0.255
0.932 0.502 0.261
0.432 0.498 0.739
0.426 0.996 0.263
0.926 0.004 0.737
0.581 0.757 0.502
0.081 0.243 0.498
0.078 0.503 0.745
0.241 0.745 0.504
0.251 0.232 0.016
0.741 0.255 0.496
0.751 0.768 0.984
```

=====

# 4
Here is a relaxed Li2Ti3NiO8 crystal from the Materials Project. Energies are from PBE+U.

Calculated values
The calculation puts the formation enthalpy at 0 K at -2943 meV per atom. As for the density: 3788 kg/m3. Its magnetization is 0.0 μB/cell. Its energy above the most stable polymorph in this dataset is 15 meV/atom.

```
Li2Ti3NiO8
1.0
-2.690 -2.326 -4.797
9.186 -4.688 0.838
-2.775 -8.282 5.571
Li O Ni Ti
8 32 4 12
direct
0.220 0.440 0.099
0.720 0.440 0.599
0.280 0.560 0.401
0.530 0.060 0.651
0.780 0.560 0.901
0.030 0.060 0.151
0.470 0.940 0.349
0.970 0.940 0.849
0.415 0.373 0.704
0.292 0.127 0.546
0.915 0.373 0.204
0.322 0.645 0.068
0.178 0.355 0.432
0.792 0.127 0.046
0.542 0.627 0.796
0.435 0.870 0.174
0.572 0.145 0.318
0.565 0.130 0.826
0.042 0.627 0.296
0.165 0.873 0.454
0.428 0.855 0.682
0.685 0.370 0.424
0.708 0.873 0.454
0.335 0.127 0.046
0.072 0.145 0.818
0.678 0.355 0.932
0.928 0.855 0.182
0.208 0.873 0.954
0.185 0.370 0.924
0.815 0.630 0.076
0.315 0.630 0.576
0.065 0.130 0.326
0.958 0.373 0.704
0.585 0.627 0.296
0.665 0.873 0.954
0.458 0.373 0.204
0.935 0.870 0.674
0.835 0.127 0.546
0.822 0.645 0.568
0.085 0.627 0.796
0.375 0.750 0.875
0.625 0.250 0.125
0.875 0.750 0.375
0.125 0.250 0.625
0.625 0.750 0.625
0.375 0.250 0.375
0.125 0.750 0.125
0.750 0.500 0.250
0.875 0.250 0.375
0.250 0.500 0.750
0.375 0.250 0.875
0.625 0.750 0.125
0.000 0.000 0.500
0.875 0.250 0.875
0.500 0.000 0.000
0.125 0.750 0.625
```

=====

# 5
Here is a relaxed Li4Ti3Ni3O12 crystal from the Materials Project. Energies are from PBE+U.

Calculated values
The calculation puts the formation enthalpy at 0 K at -2301 meV per atom. As for the density: 4168 kg/m3. Its magnetization is 0.0 μB/cell. Its energy above the most stable polymorph in this dataset is 72 meV/atom.

```
Li4Ti3Ni3O12
1.0
1.882 -3.431 6.682
2.288 2.175 7.071
-4.862 0.201 2.168
Li Ti O Ni
4 3 12 3
direct
0.827 0.173 0.000
0.166 0.501 0.331
0.499 0.834 0.669
0.081 0.919 0.500
0.913 0.748 0.846
0.589 0.411 0.500
0.252 0.087 0.154
0.652 0.499 0.789
0.841 0.681 0.549
0.923 0.257 0.367
0.396 0.744 0.303
0.587 0.922 0.029
0.985 0.826 0.128
0.256 0.604 0.697
0.174 0.015 0.872
0.078 0.413 0.971
0.319 0.159 0.451
0.752 0.080 0.643
0.501 0.348 0.211
0.333 0.667 0.000
0.994 0.335 0.662
0.665 0.006 0.338
```

=====

# 6
Here is a relaxed Li11Ti12Ni4O32 crystal from the Materials Project. Energies are from PBE+U.

Calculated values
The calculation puts the formation enthalpy at 0 K at -2855 meV per atom. As for the density: 3880 kg/m3. Its magnetization is 11.0 μB/cell.

```
Li11Ti12Ni4O32
1.0
-6.262 -3.906 4.064
1.613 -7.051 -4.321
5.412 -2.415 5.988
O Ti Li Ni
32 12 11 4
direct
0.015 0.001 0.736
0.516 0.750 0.512
0.485 0.992 0.759
0.748 0.270 0.764
0.730 0.252 0.236
0.992 0.489 0.761
0.515 0.241 0.008
0.484 0.488 0.250
0.764 0.748 0.270
0.261 0.261 0.261
0.488 0.250 0.484
0.001 0.736 0.015
0.999 0.985 0.264
0.008 0.515 0.241
0.985 0.264 0.999
0.750 0.512 0.516
0.992 0.759 0.485
0.759 0.485 0.992
0.270 0.764 0.748
0.239 0.511 0.008
0.236 0.730 0.252
0.008 0.239 0.511
0.250 0.484 0.488
0.489 0.761 0.992
0.252 0.236 0.730
0.761 0.992 0.489
0.241 0.008 0.515
0.264 0.999 0.985
0.739 0.739 0.739
0.512 0.516 0.750
0.736 0.015 0.001
0.511 0.008 0.239
0.000 0.759 0.241
0.759 0.241 0.000
0.998 0.002 0.500
0.503 0.755 0.757
0.755 0.757 0.503
0.757 0.503 0.755
0.497 0.243 0.245
0.245 0.497 0.243
0.243 0.245 0.497
0.500 0.998 0.002
0.002 0.500 0.998
0.241 0.000 0.759
0.500 0.752 0.248
0.248 0.500 0.752
0.000 0.498 0.502
0.500 0.248 0.752
0.248 0.752 0.500
0.127 0.127 0.127
0.498 0.502 0.000
0.873 0.873 0.873
0.752 0.500 0.248
0.502 0.000 0.498
0.752 0.248 0.500
0.755 0.000 0.245
0.245 0.755 0.000
0.000 0.245 0.755
0.500 0.500 0.500
```

=====

# 7
Here is a relaxed Li3TiNi2O6 crystal from the Materials Project. Energies are from PBE+U.

Calculated values
The calculation puts the formation enthalpy at 0 K at -2154 meV per atom. As for the density: 4295 kg/m3. Its magnetization is 0.0 μB/cell.

```
Li3TiNi2O6
1.0
0.000 -1.526 2.494
8.582 -8.302 -5.077
3.427 4.101 2.507
O Ni Ti Li
12 4 2 6
direct
0.000 0.169 0.061
0.000 0.510 0.267
0.500 0.323 0.900
0.000 0.499 0.734
0.500 0.664 0.105
0.500 0.669 0.561
0.000 0.164 0.605
0.500 0.999 0.234
0.500 0.334 0.433
0.000 0.834 0.933
0.000 0.823 0.400
0.500 0.010 0.767
0.000 0.998 0.003
0.500 0.498 0.503
0.500 0.835 0.164
0.000 0.335 0.664
0.000 0.667 0.333
0.500 0.167 0.833
0.000 0.994 0.490
0.000 0.667 0.833
0.000 0.339 0.177
0.500 0.167 0.333
0.500 0.494 0.990
0.500 0.839 0.677
```

=====

# 8
Here is a relaxed Li2Ti3NiO8 crystal from the Materials Project. Energies are from PBE+U.

Calculated values
The calculation puts the formation enthalpy at 0 K at -2958 meV per atom. As for the density: 3827 kg/m3. Its magnetization is 8.0 μB/cell. Its energy above the most stable polymorph in this dataset is 0 meV/atom.

```
Li2Ti3NiO8
1.0
8.422 0.000 0.000
0.000 8.422 0.000
0.000 0.000 8.422
Li O Ti Ni
8 32 12 4
direct
0.249 0.749 0.751
0.499 0.501 0.001
0.751 0.249 0.749
0.749 0.751 0.249
0.501 0.001 0.499
0.251 0.251 0.251
0.001 0.499 0.501
0.999 0.999 0.999
0.143 0.859 0.127
0.391 0.107 0.123
0.123 0.391 0.107
0.359 0.373 0.857
0.623 0.109 0.893
0.861 0.861 0.861
0.107 0.123 0.391
0.891 0.393 0.877
0.611 0.889 0.111
0.361 0.639 0.139
0.893 0.623 0.109
0.641 0.873 0.643
0.373 0.857 0.359
0.141 0.627 0.357
0.377 0.609 0.607
0.127 0.143 0.859
0.857 0.359 0.373
0.357 0.141 0.627
0.389 0.389 0.389
0.109 0.893 0.623
0.639 0.139 0.361
0.627 0.357 0.141
0.643 0.641 0.873
0.607 0.377 0.609
0.889 0.111 0.611
0.873 0.643 0.641
0.877 0.891 0.393
0.609 0.607 0.377
0.111 0.611 0.889
0.393 0.877 0.891
0.859 0.127 0.143
0.139 0.361 0.639
0.875 0.870 0.620
0.380 0.375 0.630
0.620 0.875 0.870
0.880 0.125 0.370
0.120 0.625 0.130
0.130 0.120 0.625
0.870 0.620 0.875
0.630 0.380 0.375
0.125 0.370 0.880
0.370 0.880 0.125
0.375 0.630 0.380
0.625 0.130 0.120
0.875 0.375 0.125
0.125 0.875 0.375
0.625 0.625 0.625
0.375 0.125 0.875
```